{
  "formula": "MgNiAs2O7",
  "functional": "PBE+U",
  "state": "optimized geometry",
  "cell": [[-7.3344, 4.4871, 0.0952], [-2.4571, -3.8973, -5.6089], [-4.8302, -7.9520, 2.6713]],
  "species": ["As", "As", "As", "As", "As", "As", "As", "As", "O", "O", "O", "O", "O", "O", "O", "O", "O", "O", "O", "O", "O", "O", "O", "O", "O", "O", "O", "O", "O", "O", "O", "O", "O", "O", "O", "O", "Ni", "Ni", "Ni", "Ni", "Mg", "Mg", "Mg", "Mg"],
  "frac_coords": [[0.7801, 0.9758, 0.4599], [0.2723, 0.4372, 0.7479], [0.2801, 0.0242, 0.0401], [0.7277, 0.5628, 0.2521], [0.7723, 0.5628, 0.7521], [0.2277, 0.4372, 0.2479], [0.7199, 0.9758, 0.9599], [0.2199, 0.0242, 0.5401], [0.7313, 0.1331, 0.0526], [0.9231, 0.0313, 0.3271], [0.4046, 0.3552, 0.2277], [0.5985, 0.5316, 0.3935], [0.1429, 0.2600, 0.4182], [0.6429, 0.7400, 0.0818], [0.5954, 0.6448, 0.7723], [0.5769, 0.0313, 0.8271], [0.2619, 0.6436, 0.7920], [0.2313, 0.8669, 0.4474], [0.4231, 0.9687, 0.1729], [0.2687, 0.8669, 0.9474], [0.7619, 0.3564, 0.7080], [0.7381, 0.3564, 0.2080], [0.7687, 0.1331, 0.5526], [0.4015, 0.4684, 0.6065], [0.9015, 0.5316, 0.8935], [0.6026, 0.9489, 0.3912], [0.9046, 0.6448, 0.2723], [0.3571, 0.2600, 0.9182], [0.8974, 0.9489, 0.8912], [0.1026, 0.0511, 0.1088], [0.3974, 0.0511, 0.6088], [0.0954, 0.3552, 0.7277], [0.0769, 0.9687, 0.6729], [0.2381, 0.6436, 0.2920], [0.0985, 0.4684, 0.1065], [0.8571, 0.7400, 0.5818], [0.9393, 0.1831, 0.6854], [0.4393, 0.8169, 0.8146], [0.5607, 0.1831, 0.1854], [0.0607, 0.8169, 0.3146], [0.0741, 0.7309, 0.8942], [0.4259, 0.7309, 0.3942], [0.9259, 0.2691, 0.1058], [0.5741, 0.2691, 0.6058]],
  "total_magnetization_mub_per_cell": 8.0,
  "sg": "No. 14",
  "delta_e_f_ev_per_atom": -1.92
}